Record 1
First-principles (meta-GGA r2SCAN) data for a relaxed Ba2WO5 crystal, as listed in the Materials Project.

Geometry as POSCAR:
```
Ba2WO5
1.0
-0.402 -0.286 -5.737
1.021 -7.367 0.296
-11.462 -1.554 0.880
O Ba W
20 8 4
Direct
0.250 0.224 0.590
0.990 0.323 0.886
0.510 0.323 0.886
0.000 0.500 0.500
0.500 0.500 0.500
0.250 0.974 0.194
0.750 0.526 0.694
0.750 0.276 0.090
0.010 0.677 0.114
0.510 0.823 0.614
0.250 0.474 0.306
0.500 0.000 0.000
0.490 0.677 0.114
0.250 0.724 0.910
0.000 0.000 0.000
0.010 0.177 0.386
0.750 0.776 0.410
0.990 0.823 0.614
0.750 0.026 0.806
0.490 0.177 0.386
0.250 0.325 0.084
0.750 0.478 0.286
0.750 0.175 0.584
0.250 0.825 0.416
0.250 0.522 0.714
0.750 0.675 0.916
0.250 0.022 0.786
0.750 0.978 0.214
0.250 0.323 0.435
0.750 0.677 0.565
0.250 0.823 0.065
0.750 0.177 0.935
```

Summary:
Calculated volume, Å³ per cell: 497.19
Symmetry: Pnma
DFT total energy, eV/atom: -19.676

=====

Record 2
First-principles (meta-GGA r2SCAN) data for a relaxed BaW6O18 crystal, as listed in the Materials Project.

Geometry as POSCAR:
```
BaW6O18
1.0
-5.952 -0.440 -4.388
0.400 -4.145 6.126
-3.348 5.565 3.984
O W Ba
18 6 1
Direct
0.497 0.000 0.999
0.209 0.418 0.746
0.000 0.497 0.999
0.790 0.582 0.746
0.785 0.208 0.253
0.215 0.423 0.253
0.577 0.792 0.253
0.582 0.790 0.746
0.210 0.791 0.746
0.503 0.503 0.501
0.792 0.577 0.253
0.418 0.209 0.746
0.503 0.503 0.999
0.791 0.210 0.746
0.208 0.785 0.253
0.423 0.215 0.253
0.000 0.497 0.501
0.497 0.000 0.501
0.506 0.000 0.751
0.000 0.487 0.250
0.494 0.494 0.751
0.513 0.513 0.250
0.000 0.506 0.751
0.487 0.000 0.250
0.000 0.000 0.569
```

Summary:
Calculated volume, Å³ per cell: 362.05
Symmetry: P31m
DFT total energy, eV/atom: -20.094
Distance to the lowest polymorph of the same formula, meV/atom: 18

=====

Record 3
First-principles (meta-GGA r2SCAN) data for a relaxed Ba3Y2WO9 crystal, as listed in the Materials Project.

Geometry as POSCAR:
```
Ba3Y2WO9
1.0
-4.274 -4.274 0.000
0.000 0.000 -8.561
4.273 -8.547 -4.281
O W Y Ba
18 2 4 6
Direct
0.330 0.603 0.339
0.815 0.090 0.821
0.636 0.910 0.179
0.969 0.240 0.521
0.161 0.411 0.179
0.490 0.760 0.479
0.185 0.910 0.179
0.330 0.058 0.339
0.000 0.246 0.000
0.031 0.760 0.479
0.670 0.942 0.661
0.510 0.240 0.521
0.000 0.754 0.000
0.660 0.411 0.179
0.340 0.589 0.821
0.364 0.090 0.821
0.670 0.397 0.661
0.839 0.589 0.821
0.335 0.835 0.331
0.665 0.165 0.669
0.000 0.000 0.000
0.672 0.672 0.657
0.328 0.328 0.343
0.000 0.500 0.000
0.838 0.097 0.323
0.838 0.579 0.323
0.162 0.903 0.677
0.162 0.421 0.677
0.500 0.736 0.000
0.500 0.264 0.000
```

Summary:
Calculated volume, Å³ per cell: 469.13
Symmetry: Immm
DFT total energy, eV/atom: -18.252